1.
A relaxed LiFeO2 crystal, computed with PBE with a Hubbard U.

Cell: 5.0525 6.1443 5.0702 Å, 90.00 107.50 90.00°
Closest atoms and distances in Å follow each position.
Fractional positions:
Li 0.2500 0.1049 0.0000  4 O 2.06-2.14
Li 0.7500 0.1049 0.5000  4 O 2.06-2.14
Li 0.7500 0.8952 0.0000  4 O 2.06-2.14
Li 0.2500 0.8952 0.5000  4 O 2.06-2.14
Fe 0.7500 0.6463 0.5000  6 O 1.97-2.14
Fe 0.2500 0.3537 0.5000  6 O 1.97-2.14
Fe 0.2500 0.6463 0.0000  6 O 1.97-2.14
Fe 0.7500 0.3537 0.0000  6 O 1.97-2.14
O 0.5000 0.3976 0.2500  4 Fe 2.06-2.14
O 0.0000 0.3976 0.7500  4 Fe 2.06-2.14
O 0.5000 0.6024 0.7500  4 Fe 2.06-2.14
O 0.0000 0.6023 0.2500  4 Fe 2.06-2.14
O 0.5000 0.8558 0.2500  2 Fe 1.97, 4 Li 2.06-2.14
O 0.0000 0.8558 0.7500  2 Fe 1.97, 4 Li 2.06-2.14
O 0.5000 0.1442 0.7500  2 Fe 1.97, 4 Li 2.06-2.14
O 0.0000 0.1442 0.2500  2 Fe 1.97, 4 Li 2.06-2.14

Computed properties:
Formation energy from the elements in eV per formula unit: -7.8
Density in g/cm³: 4.19
Energy in eV per atom: -6.11



2.
A relaxed Li15Fe2O12 crystal, computed with PBE with a Hubbard U.

Cell: 5.4483 5.8250 8.0921 Å, 86.09 89.15 89.56°
Closest atoms and distances in Å follow each position.
Fractional positions:
Li 0.0000 0.0000 0.0000  4 O 1.89-1.99
Li 0.0038 0.7123 0.2970  4 O 1.91-2.03
Li 0.1269 0.5848 0.0155  4 O 2.07-2.24
Li 0.1484 0.9548 0.7146  4 O 2.05-2.28
Li 0.2714 0.5312 0.7344  4 O 1.90-1.96
Li 0.3376 0.2199 0.0618  4 O 1.88-2.02
Li 0.3530 0.8895 0.4491  3 O 1.89-1.96
Li 0.4488 0.8369 0.1580  4 O 1.94-2.00
Li 0.4863 0.1724 0.7709  3 O 1.87-2.01
Li 0.5191 0.4690 0.4905  3 O 1.92-1.96
Li 0.6628 0.4674 0.2019  4 O 2.03-2.22
Li 0.7783 0.0712 0.2623  3 O 1.87-1.97
Li 0.8043 0.3407 0.9280  4 O 1.92-1.99
Li 0.8332 0.7548 0.5700  3 O 1.93-2.01
Li 0.9254 0.3064 0.6364  3 O 1.91-1.99
Fe 0.1508 0.2843 0.3579  6 O 1.95-2.09
Fe 0.6421 0.7638 0.8659  6 O 1.95-2.03
O 0.0072 0.9802 0.4282  4 Li 1.89-1.96, 1 Fe 1.99
O 0.2756 0.2726 0.5997  4 Li 1.87-1.94, 1 Fe 2.08
O 0.3247 0.5776 0.2979  4 Li 1.91-2.10, 1 Fe 1.99
O 0.3461 0.9325 0.9356  5 Li 1.94-2.10, 1 Fe 1.98
O 0.4408 0.1255 0.2773  4 Li 1.87-2.00, 1 Fe 1.95
O 0.4767 0.4692 0.9288  3 Li 1.90-1.96, 1 Fe 1.98
O 0.4946 0.7580 0.6450  3 Li 1.89-1.93, 1 Fe 1.97
O 0.7879 0.7708 0.0953  4 Li 1.89-2.03, 1 Fe 2.03
O 0.8147 0.0591 0.8027  5 Li 1.91-2.05, 1 Fe 2.00
O 0.8600 0.4544 0.4233  4 Li 1.91-2.10, 1 Fe 1.95
O 0.9325 0.6028 0.7893  4 Li 1.94-2.12, 1 Fe 1.95
O 0.9956 0.2771 0.1238  5 Li 1.92-2.07, 1 Fe 2.09

Computed properties:
Formation energy from the elements in eV per formula unit: -55.4
Density in g/cm³: 2.64
Symmetry: P1, No. 1
Energy in eV per atom: -5.09



3.
A relaxed LiFe3O4 crystal, computed with PBE with a Hubbard U.

Cell: 5.1944 5.1944 3.0496 Å, 90.00 90.00 107.93°
Closest atoms and distances in Å follow each position.
Fractional positions:
Li 0.0000 0.0000 0.0000  6 O 2.05-2.18
Fe 0.0000 0.5000 0.5000  6 O 2.10-2.16
Fe 0.5000 0.0000 0.5000  6 O 2.10-2.16
Fe 0.5000 0.5000 0.0000  6 O 2.14-2.15
O 0.2445 0.7555 0.0000  1 Li 2.05, 5 Fe 2.15-2.16
O 0.2538 0.2538 0.5000  4 Fe 2.10-2.14, 2 Li 2.18
O 0.7462 0.7462 0.5000  4 Fe 2.10-2.14, 2 Li 2.18
O 0.7555 0.2445 0.0000  1 Li 2.05, 5 Fe 2.15-2.16

Computed properties:
Formation energy from the elements in eV per formula unit: -13.0
Density in g/cm³: 5.06
Symmetry: Cmmm, No. 65
Energy in eV per atom: -6.33



4.
A relaxed LiFeO2 crystal, computed with PBE with a Hubbard U.

Cell: 5.9767 5.9767 5.9767 Å, 120.08 120.08 89.86°
Closest atoms and distances in Å follow each position.
Fractional positions:
Li 0.0000 0.0000 0.0000  6 O 2.17-2.18
Li 0.0000 0.0000 0.5000  6 O 2.17-2.18
Li 0.0000 0.5000 0.0000  6 O 2.17-2.18
Li 0.5000 0.0000 0.5000  6 O 2.17-2.18
Fe 0.0000 0.5000 0.5000  6 O 2.05-2.06
Fe 0.5000 0.0000 0.0000  6 O 2.05-2.06
Fe 0.5000 0.5000 0.0000  6 O 2.05-2.06
Fe 0.5000 0.5000 0.5000  6 O 2.05-2.06
O 0.2571 0.2714 0.5143  3 Fe 2.05-2.06, 3 Li 2.17-2.18
O 0.2571 0.7429 0.5143  3 Fe 2.05-2.06, 3 Li 2.17-2.18
O 0.2571 0.7429 0.9857  3 Fe 2.05-2.06, 3 Li 2.17-2.18
O 0.2714 0.2571 0.0143  3 Fe 2.05-2.06, 3 Li 2.17-2.18
O 0.7286 0.7429 0.9857  3 Fe 2.05-2.06, 3 Li 2.17-2.18
O 0.7429 0.2571 0.0143  3 Fe 2.05-2.06, 3 Li 2.17-2.18
O 0.7429 0.2571 0.4857  3 Fe 2.05-2.06, 3 Li 2.17-2.18
O 0.7429 0.7286 0.4857  3 Fe 2.05-2.06, 3 Li 2.17-2.18

Computed properties:
Formation energy from the elements in eV per formula unit: -7.8
Density in g/cm³: 4.18
Symmetry: I4_1/amd, No. 141
Energy in eV per atom: -6.10